The following is a DFT calculation (PBE+U) of crystalline LiFeF4 at its relaxed geometry.

Results
- total DFT energy (no corrections) (eV/atom) = -5.143
- offset from the most stable computed form (meV/atom) = 4
- E_form (eV per atom) = -2.82

Lattice parameters (Å, degrees): 5.687 4.709 5.071 87.50 90.00 90.00
Fractional coordinates of all 12 atoms:
F  0.109  0.219  0.569
F  0.624  0.262  0.590
F  0.891  0.781  0.431
F  0.376  0.738  0.410
F  0.109  0.781  0.931
F  0.376  0.262  0.090
F  0.891  0.219  0.069
F  0.624  0.738  0.910
Li  0.358  0.500  0.750
Li  0.642  0.500  0.250
Fe  0.835  0.000  0.750
Fe  0.165  0.000  0.250

=====

The following is a DFT calculation (PBE+U) of crystalline CoP2H2O7 at its relaxed geometry.

Results
- total DFT energy (no corrections) (eV/atom) = -6.498
- E_form (eV per atom) = -2.09

Lattice parameters (Å, degrees): 9.372 12.713 9.740 90.00 105.34 90.00
Fractional coordinates of all 96 atoms:
O  0.901  0.523  0.107
O  0.583  0.958  0.808
O  0.142  0.253  0.098
O  0.452  0.367  0.319
O  0.163  0.599  0.179
O  0.351  0.887  0.318
O  0.901  0.977  0.607
O  0.925  0.319  0.403
O  0.876  0.283  0.112
O  0.858  0.747  0.902
O  0.163  0.901  0.679
O  0.649  0.387  0.182
O  0.075  0.819  0.097
O  0.099  0.477  0.893
O  0.452  0.133  0.819
O  0.417  0.042  0.192
O  0.548  0.633  0.681
O  0.142  0.247  0.598
O  0.417  0.458  0.692
O  0.995  0.894  0.846
O  0.858  0.753  0.402
O  0.392  0.037  0.587
O  0.005  0.106  0.154
O  0.649  0.113  0.682
O  0.421  0.832  0.918
O  0.583  0.542  0.308
O  0.615  0.206  0.388
O  0.638  0.721  0.063
O  0.608  0.963  0.413
O  0.124  0.717  0.888
O  0.608  0.537  0.913
O  0.876  0.217  0.612
O  0.005  0.394  0.654
O  0.638  0.779  0.563
O  0.362  0.221  0.437
O  0.112  0.063  0.802
O  0.579  0.168  0.082
O  0.995  0.606  0.346
O  0.421  0.668  0.418
O  0.385  0.794  0.612
O  0.925  0.181  0.903
O  0.075  0.681  0.597
O  0.548  0.867  0.181
O  0.837  0.401  0.821
O  0.124  0.783  0.388
O  0.351  0.613  0.818
O  0.888  0.563  0.698
O  0.392  0.463  0.087
O  0.837  0.099  0.321
O  0.615  0.294  0.888
O  0.888  0.937  0.198
O  0.385  0.706  0.112
O  0.112  0.437  0.302
O  0.362  0.279  0.937
O  0.579  0.332  0.582
O  0.099  0.023  0.393
H  0.483  0.090  0.152
H  0.824  0.785  0.479
H  0.624  0.648  0.022
H  0.960  0.610  0.666
H  0.483  0.410  0.652
H  0.517  0.590  0.348
H  0.376  0.148  0.478
H  0.517  0.910  0.848
H  0.176  0.215  0.521
H  0.824  0.715  0.979
H  0.624  0.852  0.522
H  0.040  0.110  0.834
H  0.176  0.285  0.021
H  0.040  0.390  0.334
H  0.960  0.890  0.166
H  0.376  0.352  0.978
Co  0.752  0.084  0.507
Co  0.248  0.916  0.493
Co  0.752  0.416  0.007
Co  0.253  0.744  0.250
Co  0.747  0.256  0.750
Co  0.747  0.244  0.250
Co  0.248  0.584  0.993
Co  0.253  0.756  0.750
P  0.489  0.720  0.561
P  0.520  0.056  0.718
P  0.979  0.291  0.560
P  0.979  0.209  0.060
P  0.480  0.944  0.282
P  0.480  0.556  0.782
P  0.021  0.709  0.440
P  0.520  0.444  0.218
P  0.021  0.791  0.940
P  0.959  0.461  0.776
P  0.041  0.961  0.724
P  0.959  0.039  0.276
P  0.511  0.280  0.439
P  0.489  0.780  0.061
P  0.041  0.539  0.224
P  0.511  0.220  0.939

=====

The following is a DFT calculation (PBE+U) of crystalline La4MnO8 at its relaxed geometry.

Results
- total DFT energy (no corrections) (eV/atom) = -8.053
- offset from the most stable computed form (meV/atom) = 0
- E_form (eV per atom) = -3.34

Lattice parameters (Å, degrees): 6.904 11.615 10.816 62.25 90.00 76.51
Fractional coordinates of all 52 atoms:
O  0.244  0.081  0.459
O  0.125  0.875  0.943
O  0.625  0.375  0.432
O  0.534  0.845  0.328
O  0.256  0.419  0.791
O  0.034  0.345  0.578
O  0.875  0.125  0.818
O  0.375  0.625  0.307
O  0.875  0.125  0.057
O  0.966  0.655  0.422
O  0.744  0.581  0.209
O  0.375  0.625  0.807
O  0.244  0.081  0.959
O  0.756  0.919  0.541
O  0.375  0.625  0.568
O  0.744  0.581  0.709
O  0.125  0.875  0.443
O  0.756  0.919  0.041
O  0.466  0.155  0.172
O  0.125  0.875  0.182
O  0.125  0.875  0.682
O  0.534  0.845  0.828
O  0.966  0.655  0.922
O  0.034  0.345  0.078
O  0.875  0.125  0.557
O  0.625  0.375  0.693
O  0.466  0.155  0.672
O  0.875  0.125  0.318
O  0.625  0.375  0.932
O  0.375  0.625  0.068
O  0.625  0.375  0.193
O  0.256  0.419  0.291
La  0.050  0.683  0.158
La  0.450  0.817  0.592
La  0.702  0.567  0.966
La  0.950  0.317  0.842
La  0.298  0.433  0.034
La  0.550  0.183  0.408
La  0.298  0.433  0.534
La  0.050  0.683  0.658
La  0.202  0.067  0.216
La  0.450  0.817  0.092
La  0.798  0.933  0.784
La  0.950  0.317  0.342
La  0.202  0.067  0.716
La  0.798  0.933  0.284
La  0.702  0.567  0.466
La  0.550  0.183  0.908
Mn  0.000  0.000  0.500
Mn  0.500  0.500  0.250
Mn  0.000  0.000  0.000
Mn  0.500  0.500  0.750